Run a
LiVF3: optimized geometry, PBE+U.

Spin magnetization, μB/f.u.: 3.0
Space-group type: No. 194

a b c (Å): 5.8579 5.8579 5.8915
angles (deg): 90.00 90.00 120.00
Sites, in units of the cell vectors:
Li  0.3333  0.6667  0.2500
Li  0.6667  0.3333  0.7500
V  0.0000  0.0000  0.0000
V  0.0000  0.0000  0.5000
F  0.1522  0.3044  0.2500
F  0.1522  0.8478  0.2500
F  0.3044  0.1522  0.7500
F  0.6956  0.8478  0.2500
F  0.8478  0.1522  0.7500
F  0.8478  0.6956  0.7500

Run b
LiVF3: optimized geometry, PBE+U.

Spin magnetization, μB/f.u.: 3.0
Space-group type: No. 62

a b c (Å): 5.4558 7.8343 5.3667
angles (deg): 90.00 90.00 90.00
Sites, in units of the cell vectors:
Li  0.0156  0.2500  0.0129
Li  0.4844  0.7500  0.5129
Li  0.5156  0.2500  0.4871
Li  0.9844  0.7500  0.9871
V  0.0000  0.0000  0.5000
V  0.0000  0.5000  0.5000
V  0.5000  0.0000  0.0000
V  0.5000  0.5000  0.0000
F  0.0937  0.7500  0.6368
F  0.1663  0.5745  0.1624
F  0.1663  0.9255  0.1624
F  0.3337  0.0745  0.6624
F  0.3337  0.4255  0.6624
F  0.4063  0.2500  0.1368
F  0.5937  0.7500  0.8632
F  0.6663  0.5745  0.3376
F  0.6663  0.9255  0.3376
F  0.8337  0.0745  0.8376
F  0.8337  0.4255  0.8376
F  0.9063  0.2500  0.3632

Run c
LiVF3: optimized geometry, PBE+U.

Spin magnetization, μB/f.u.: 3.0
Space-group type: No. 15

a b c (Å): 7.2209 7.2209 5.8650
angles (deg): 109.86 109.86 64.43
Sites, in units of the cell vectors:
Li  0.0685  0.9315  0.7500
Li  0.3148  0.6852  0.2500
Li  0.6852  0.3148  0.7500
Li  0.9315  0.0685  0.2500
V  0.1631  0.3372  0.6925
V  0.3372  0.1631  0.1925
V  0.6628  0.8369  0.8075
V  0.8369  0.6628  0.3075
F  0.0271  0.3363  0.2930
F  0.0751  0.7836  0.3841
F  0.2164  0.9249  0.1159
F  0.3201  0.4126  0.0674
F  0.3363  0.0271  0.7930
F  0.4126  0.3201  0.5674
F  0.5874  0.6799  0.4326
F  0.6637  0.9729  0.2070
F  0.6799  0.5874  0.9326
F  0.7836  0.0751  0.8841
F  0.9249  0.2164  0.6159
F  0.9729  0.6637  0.7070

Here is how they stack up, most stable first: run b, run a, run c.